Cs4Zr3MnP6O24: relaxed, PBE with a Hubbard U.

The structure in POSCAR format:
```
Cs4Zr3MnP6O24
1.0
10.5096 0.0000 0.0000
0.0000 10.5069 0.0000
-0.0017 0.0000 10.5143
Cs Zr Mn P O
8 6 2 12 48
Direct
0.0356 0.0000 0.2024
0.1766 0.7189 0.5720
0.3145 0.3572 0.0663
0.4555 0.0795 0.7171
0.5445 0.5795 0.2829
0.6855 0.8572 0.9337
0.8234 0.2189 0.4280
0.9644 0.5000 0.7976
0.1599 0.3775 0.4122
0.3330 0.7044 0.9140
0.3899 0.9306 0.3573
0.6101 0.4306 0.6427
0.6670 0.2044 0.0860
0.8401 0.8775 0.5878
0.1044 0.1461 0.8579
0.8956 0.6461 0.1421
0.0194 0.8336 0.8772
0.1272 0.0612 0.5437
0.2061 0.6659 0.2300
0.2917 0.4151 0.7277
0.3763 0.0192 0.0417
0.4780 0.2478 0.3747
0.5220 0.7478 0.6253
0.6237 0.5192 0.9583
0.7083 0.9151 0.2723
0.7939 0.1659 0.7700
0.8728 0.5612 0.4563
0.9806 0.3336 0.1228
0.0021 0.4887 0.4761
0.0187 0.9729 0.9169
0.0491 0.3189 0.2573
0.0499 0.2488 0.0285
0.0689 0.7109 0.2350
0.1100 0.1986 0.4897
0.1597 0.7809 0.8579
0.1712 0.0569 0.6812
0.2167 0.3146 0.7990
0.2255 0.5371 0.3029
0.2278 0.9924 0.4570
0.2420 0.4324 0.5886
0.2599 0.6492 0.0923
0.2763 0.0897 0.9655
0.2788 0.5466 0.7977
0.2938 0.7663 0.2981
0.3391 0.0155 0.1857
0.3404 0.2987 0.3591
0.3931 0.8793 0.9926
0.4358 0.3792 0.7236
0.4484 0.7650 0.7524
0.4520 0.8268 0.5215
0.4774 0.1059 0.4149
0.4926 0.5891 0.9705
0.5074 0.0891 0.0295
0.5226 0.6059 0.5851
0.5480 0.3268 0.4785
0.5516 0.2650 0.2476
0.5642 0.8792 0.2764
0.6069 0.3793 0.0074
0.6596 0.7987 0.6409
0.6609 0.5155 0.8143
0.7062 0.2663 0.7019
0.7212 0.0466 0.2023
0.7237 0.5897 0.0345
0.7401 0.1492 0.9077
0.7580 0.9324 0.4114
0.7722 0.4924 0.5430
0.7745 0.0371 0.6971
0.7833 0.8146 0.2010
0.8288 0.5569 0.3188
0.8403 0.2809 0.1421
0.8900 0.6986 0.5103
0.9311 0.2109 0.7650
0.9501 0.7488 0.9715
0.9509 0.8189 0.7427
0.9813 0.4729 0.0831
0.9979 0.9887 0.5239
```

Calculated values
Its crystal system is monoclinic. As for the symmetry: P2_1. For the final energy, the calculation gives -7.453 eV/atom.

***

CsNa3U4Mo2O20: relaxed, PBE with a Hubbard U.

The structure in POSCAR format:
```
CsNa3U4Mo2O20
1.0
6.7300 0.0000 0.0000
1.0674 6.8448 0.0000
2.5815 0.8188 11.2686
Cs Na U Mo O
1 3 4 2 20
Direct
0.0000 0.0000 0.0000
0.0000 0.0000 0.5000
0.0551 0.4778 0.6678
0.9449 0.5222 0.3322
0.4613 0.7671 0.2472
0.4920 0.2581 0.4373
0.5080 0.7419 0.5627
0.5387 0.2329 0.7528
0.3915 0.3301 0.1018
0.6085 0.6699 0.8982
0.1278 0.4028 0.1142
0.1794 0.7725 0.2984
0.2040 0.3015 0.4731
0.2200 0.7810 0.6038
0.2576 0.2461 0.8089
0.4118 0.0676 0.1332
0.4451 0.6584 0.0533
0.4691 0.4202 0.6017
0.4702 0.9582 0.3920
0.4718 0.3953 0.2329
0.5282 0.6047 0.7671
0.5298 0.0418 0.6080
0.5309 0.5798 0.3983
0.5549 0.3416 0.9467
0.5882 0.9324 0.8668
0.7424 0.7539 0.1911
0.7800 0.2190 0.3962
0.7960 0.6985 0.5269
0.8206 0.2275 0.7016
0.8722 0.5972 0.8858
```

Calculated values
Its crystal system is triclinic. As for the symmetry: P-1. For the final energy, the calculation gives -7.968 eV/atom.

***

CsNpMoO6: relaxed, PBE with a Hubbard U.

The structure in POSCAR format:
```
CsNpMoO6
1.0
7.7992 0.0000 0.0000
0.0000 8.7533 0.0000
-2.2741 0.0000 10.3887
Cs Np Mo O
4 4 4 24
Direct
0.0414 0.2425 0.3534
0.0414 0.2575 0.8534
0.9586 0.7425 0.1466
0.9586 0.7575 0.6466
0.4876 0.0223 0.1752
0.4876 0.4777 0.6752
0.5124 0.5223 0.3248
0.5124 0.9777 0.8248
0.3890 0.6476 0.9462
0.3890 0.8524 0.4462
0.6110 0.1476 0.5538
0.6110 0.3524 0.0538
0.1634 0.6361 0.9384
0.1634 0.8639 0.4384
0.2527 0.0625 0.1281
0.2527 0.4375 0.6281
0.2767 0.0093 0.7734
0.2767 0.4907 0.2734
0.4412 0.7099 0.7829
0.4412 0.7901 0.2829
0.4586 0.0636 0.3917
0.4586 0.4364 0.8917
0.4695 0.6484 0.5116
0.4695 0.8516 0.0116
0.5305 0.1484 0.9884
0.5305 0.3516 0.4884
0.5414 0.5636 0.1083
0.5414 0.9364 0.6083
0.5588 0.2099 0.7171
0.5588 0.2901 0.2171
0.7233 0.5093 0.7266
0.7233 0.9907 0.2266
0.7473 0.5625 0.3719
0.7473 0.9375 0.8719
0.8366 0.1361 0.5616
0.8366 0.3639 0.0616
```

Calculated values
Its crystal system is monoclinic. As for the symmetry: P2_1/c. For the final energy, the calculation gives -7.921 eV/atom.

***

Cs2MoO4: relaxed, PBE with a Hubbard U.

The structure in POSCAR format:
```
Cs2MoO4
1.0
8.6479 0.0000 0.0000
0.0000 6.6797 0.0000
0.0000 0.0000 11.8283
Cs Mo O
8 4 16
Direct
0.0091 0.2500 0.2075
0.1722 0.7500 0.4147
0.3278 0.2500 0.9147
0.4909 0.7500 0.7075
0.5091 0.2500 0.2925
0.6722 0.7500 0.0853
0.8278 0.2500 0.5853
0.9909 0.7500 0.7925
0.2258 0.7500 0.0792
0.2742 0.2500 0.5792
0.7258 0.7500 0.4208
0.7742 0.2500 0.9208
0.0187 0.7500 0.0816
0.2022 0.0292 0.6494
0.2022 0.4708 0.6494
0.2052 0.2500 0.4350
0.2948 0.7500 0.9350
0.2978 0.5292 0.1494
0.2978 0.9708 0.1494
0.4813 0.2500 0.5816
0.5187 0.7500 0.4184
0.7022 0.0292 0.8506
0.7022 0.4708 0.8506
0.7052 0.2500 0.0650
0.7948 0.7500 0.5650
0.7978 0.5292 0.3506
0.7978 0.9708 0.3506
0.9813 0.2500 0.9184
```

Calculated values
Its energy relative to the lowest polymorph listed for this composition is 0 meV per atom. Its crystal system is orthorhombic. As for the symmetry: Pnma.

***

Cs2Mo2O11: relaxed, PBE with a Hubbard U.

The structure in POSCAR format:
```
Cs2Mo2O11
1.0
7.9273 0.0000 0.0000
1.3438 8.8156 0.0000
3.3823 3.3769 7.7300
Cs Mo O
4 4 22
Direct
0.1826 0.3647 0.2731
0.2262 0.9223 0.8456
0.7738 0.0777 0.1544
0.8174 0.6353 0.7269
0.2895 0.8755 0.3138
0.3367 0.4195 0.7371
0.6633 0.5805 0.2629
0.7105 0.1245 0.6862
0.0544 0.8138 0.3223
0.1231 0.3386 0.8786
0.1561 0.9320 0.5158
0.2088 0.7380 0.2266
0.2546 0.5965 0.5485
0.3283 0.0677 0.1438
0.3442 0.4611 0.4955
0.3535 0.9191 0.4843
0.3739 0.5933 0.8035
0.4554 0.4344 0.8860
0.4639 0.2170 0.7461
0.5361 0.7830 0.2539
0.5446 0.5656 0.1140
0.6261 0.4067 0.1965
0.6465 0.0809 0.5157
0.6558 0.5389 0.5045
0.6717 0.9323 0.8562
0.7454 0.4035 0.4515
0.7912 0.2620 0.7734
0.8439 0.0680 0.4842
0.8769 0.6614 0.1214
0.9456 0.1862 0.6777
```

Calculated values
Its crystal system is triclinic. As for the symmetry: P-1. For the final energy, the calculation gives -5.861 eV/atom.

***

Cs2Mo7O22: relaxed, PBE with a Hubbard U.

The structure in POSCAR format:
```
Cs2Mo7O22
1.0
11.0319 -2.8373 0.0000
11.0319 2.8373 0.0000
-10.5374 0.0000 16.3217
Cs Mo O
4 14 44
Direct
0.0028 0.6886 0.8237
0.3114 0.9972 0.6763
0.6886 0.0028 0.3237
0.9972 0.3114 0.1763
0.1149 0.8851 0.7500
0.1233 0.4976 0.4734
0.1952 0.4792 0.1369
0.2146 0.7139 0.0940
0.2861 0.7854 0.4060
0.4792 0.1952 0.6369
0.4976 0.1233 0.9734
0.5024 0.8767 0.0266
0.5208 0.8048 0.3631
0.7139 0.2146 0.5940
0.7854 0.2861 0.9060
0.8048 0.5208 0.8631
0.8767 0.5024 0.5266
0.8851 0.1149 0.2500
0.0024 0.0310 0.1653
0.0310 0.0024 0.6653
0.0496 0.2099 0.4794
0.0920 0.3588 0.9188
0.1253 0.7240 0.1792
0.1439 0.4170 0.5663
0.1542 0.4610 0.3826
0.1706 0.7617 0.0071
0.2099 0.0496 0.9794
0.2208 0.4299 0.2177
0.2301 0.6210 0.6974
0.2383 0.8294 0.4929
0.2760 0.8747 0.3208
0.2968 0.4432 0.0433
0.3588 0.0920 0.4188
0.3790 0.7699 0.8026
0.4170 0.1439 0.0663
0.4299 0.2208 0.7177
0.4432 0.2968 0.5433
0.4498 0.4988 0.3583
0.4610 0.1542 0.8826
0.4988 0.4498 0.8583
0.5012 0.5502 0.1417
0.5390 0.8458 0.1174
0.5502 0.5012 0.6417
0.5568 0.7032 0.4567
0.5701 0.7792 0.2823
0.5830 0.8561 0.9337
0.6210 0.2301 0.1974
0.6412 0.9080 0.5812
0.7032 0.5568 0.9567
0.7240 0.1253 0.6792
0.7617 0.1706 0.5071
0.7699 0.3790 0.3026
0.7792 0.5701 0.7823
0.7901 0.9504 0.0206
0.8294 0.2383 0.9929
0.8458 0.5390 0.6174
0.8561 0.5830 0.4337
0.8747 0.2760 0.8208
0.9080 0.6412 0.0812
0.9504 0.7901 0.5206
0.9690 0.9976 0.3347
0.9976 0.9690 0.8347
```

Calculated values
Its crystal system is monoclinic. As for the symmetry: C2/c. For the final energy, the calculation gives -6.808 eV/atom.

***

CsMo3O9: relaxed, PBE with a Hubbard U.

The structure in POSCAR format:
```
CsMo3O9
1.0
8.4237 -3.9140 0.0000
8.4237 3.9140 0.0000
-0.4502 0.0000 6.5397
Cs Mo O
2 6 18
Direct
0.2020 0.2020 0.3245
0.7980 0.7980 0.6755
0.1887 0.7099 0.2304
0.2901 0.8112 0.7696
0.3928 0.3928 0.8589
0.6072 0.6072 0.1411
0.7099 0.1888 0.2304
0.8112 0.2901 0.7696
0.0326 0.0326 0.7951
0.0860 0.6159 0.2847
0.1903 0.6648 0.9101
0.2423 0.7577 0.5000
0.3017 0.3017 0.9670
0.3352 0.8097 0.0899
0.3675 0.3675 0.5983
0.3841 0.9140 0.7153
0.4658 0.4658 0.1901
0.5342 0.5342 0.8099
0.6159 0.0860 0.2847
0.6325 0.6325 0.4017
0.6648 0.1903 0.9101
0.6983 0.6983 0.0330
0.7577 0.2423 0.5000
0.8097 0.3352 0.0899
0.9140 0.3841 0.7153
0.9674 0.9674 0.2049
```

Calculated values
Its crystal system is monoclinic. As for the symmetry: C2/m. For the final energy, the calculation gives -6.786 eV/atom.

***

Cs2Mo3O10: relaxed, PBE with a Hubbard U.

The structure in POSCAR format:
```
Cs2Mo3O10
1.0
7.4222 -4.3226 0.0000
7.4222 4.3226 0.0000
-1.2795 0.0000 9.6264
Cs Mo O
4 6 20
Direct
0.0995 0.2566 0.1603
0.2566 0.0995 0.6603
0.7434 0.9005 0.3397
0.9005 0.7434 0.8397
0.2314 0.7686 0.2500
0.3270 0.4652 0.4745
0.4652 0.3270 0.9745
0.5348 0.6730 0.0255
0.6730 0.5348 0.5255
0.7686 0.2314 0.7500
0.0563 0.8498 0.1217
0.1502 0.9437 0.3783
0.1727 0.5493 0.6016
0.1731 0.5938 0.3157
0.2470 0.3676 0.9215
0.3676 0.2470 0.4215
0.4060 0.5474 0.0950
0.4062 0.8269 0.1843
0.4507 0.8273 0.8984
0.4526 0.5940 0.4050
0.5474 0.4060 0.5950
0.5493 0.1727 0.1016
0.5938 0.1731 0.8157
0.5940 0.4526 0.9050
0.6324 0.7530 0.5785
0.7530 0.6324 0.0785
0.8269 0.4062 0.6843
0.8273 0.4507 0.3984
0.8498 0.0563 0.6217
0.9437 0.1502 0.8783
```

Calculated values
Its crystal system is monoclinic. As for the symmetry: C2/c. For the final energy, the calculation gives -6.608 eV/atom.